LaH3S3O12 | PBE | relaxed

Lattice parameters (Å, degrees): 9.613 9.613 6.003 90.00 90.00 120.00
Positions (direct):
La  0.333  0.667  0.000
La  0.667  0.333  0.500
H  0.067  0.224  0.113
H  0.157  0.933  0.113
H  0.224  0.157  0.613
H  0.776  0.843  0.113
H  0.843  0.067  0.613
H  0.933  0.776  0.613
S  0.095  0.699  0.505
S  0.301  0.396  0.505
S  0.396  0.095  0.005
S  0.604  0.905  0.505
S  0.699  0.604  0.005
S  0.905  0.301  0.005
O  0.018  0.813  0.500
O  0.035  0.467  0.005
O  0.187  0.205  0.500
O  0.191  0.749  0.300
O  0.194  0.741  0.706
O  0.205  0.018  0.000
O  0.251  0.442  0.300
O  0.259  0.453  0.706
O  0.432  0.965  0.005
O  0.442  0.191  0.800
O  0.453  0.194  0.206
O  0.467  0.432  0.505
O  0.533  0.568  0.005
O  0.547  0.806  0.706
O  0.558  0.809  0.300
O  0.568  0.035  0.505
O  0.741  0.547  0.206
O  0.749  0.558  0.800
O  0.795  0.982  0.500
O  0.806  0.259  0.206
O  0.809  0.251  0.800
O  0.813  0.795  0.000
O  0.965  0.533  0.505
O  0.982  0.187  0.000

For the calculated volume, the calculation gives 12.64 A^3/atom. The calculation puts the total DFT energy (no corrections) at -117.399 eV/f.u.